Ni3W6C | PBE | relaxed

Energy of formation: -0.03 eV/atom
Crystal system: monoclinic
Calculated density: 15.9 g/cm3
Magnetization: 0.0 μB/f.u.

Structure (CIF):
```
data_Ni3W6C
_chemical_formula_sum 'Ni24 W48 C8'
_cell_length_a 7.985
_cell_length_b 7.985
_cell_length_c 19.540
_cell_angle_alpha 89.94
_cell_angle_beta 89.94
_cell_angle_gamma 60.03
_space_group_name_H-M_alt 'P 1'
_space_group_IT_number 1
loop_
_space_group_symop_operation_xyz
'x,y,z'
loop_
_atom_site_label
_atom_site_fract_x
_atom_site_fract_y
_atom_site_fract_z
_atom_site_occupancy
W1 0.961 0.580 0.856 1
Ni1 0.500 0.500 0.707 1
W2 0.166 0.166 0.833 1
C1 0.333 0.835 0.167 1
W3 0.285 0.929 0.273 1
W4 0.408 0.047 0.395 1
W5 0.960 0.960 0.856 1
Ni2 0.279 0.279 0.930 1
W6 0.374 0.750 0.810 1
W7 0.047 0.408 0.395 1
W8 0.420 0.039 0.144 1
W9 0.379 0.379 0.061 1
W10 0.626 0.250 0.190 1
Ni3 0.278 0.943 0.930 1
W11 0.166 0.666 0.334 1
W12 0.834 0.334 0.666 1
W13 0.719 0.078 0.480 1
Ni4 0.055 0.055 0.736 1
Ni5 0.057 0.722 0.070 1
C2 0.165 0.667 0.833 1
W14 0.742 0.380 0.061 1
Ni6 0.056 0.389 0.736 1
Ni7 0.167 0.167 0.625 1
W15 0.500 0.000 0.000 1
W16 0.295 0.295 0.522 1
Ni8 0.388 0.722 0.403 1
Ni9 0.611 0.944 0.264 1
W17 0.046 0.046 0.398 1
C3 0.000 0.500 0.500 1
W18 0.258 0.620 0.939 1
Ni10 0.166 0.166 0.041 1
W19 0.071 0.715 0.727 1
Ni11 0.278 0.612 0.597 1
C4 0.835 0.333 0.167 1
W20 0.705 0.705 0.478 1
C5 0.667 0.667 0.834 1
W21 0.592 0.953 0.605 1
Ni12 0.721 0.721 0.070 1
W22 0.286 0.286 0.272 1
Ni13 0.945 0.945 0.264 1
W23 0.281 0.922 0.520 1
Ni14 0.389 0.389 0.403 1
W24 0.040 0.040 0.144 1
Ni15 0.612 0.278 0.597 1
W25 0.667 0.667 0.334 1
Ni16 0.722 0.388 0.403 1
Ni17 0.611 0.611 0.597 1
W26 0.039 0.420 0.144 1
Ni18 0.944 0.611 0.264 1
W27 0.834 0.834 0.167 1
Ni19 0.722 0.057 0.070 1
W28 0.714 0.714 0.728 1
W29 0.750 0.374 0.810 1
W30 0.625 0.625 0.190 1
W31 0.954 0.954 0.602 1
C6 0.333 0.333 0.166 1
W32 0.380 0.742 0.061 1
Ni20 0.389 0.056 0.736 1
W33 0.333 0.333 0.666 1
W34 0.715 0.071 0.727 1
Ni21 0.834 0.834 0.959 1
W35 0.250 0.626 0.190 1
W36 0.620 0.258 0.939 1
Ni22 0.943 0.278 0.930 1
W37 0.334 0.834 0.666 1
W38 0.666 0.166 0.334 1
W39 0.500 0.500 0.500 1
W40 0.078 0.719 0.480 1
Ni23 0.500 0.500 0.293 1
W41 0.580 0.961 0.856 1
W42 0.375 0.375 0.810 1
Ni24 0.833 0.833 0.375 1
W43 0.929 0.285 0.273 1
W44 0.621 0.621 0.939 1
W45 0.953 0.592 0.605 1
C7 0.500 0.000 0.500 1
W46 0.000 0.000 0.000 1
W47 0.000 0.500 0.000 1
W48 0.922 0.281 0.520 1
C8 0.667 0.165 0.833 1
```